Material: YCo2
Method: DFT, meta-GGA r2SCAN
State: optimized geometry

Properties
SG ... Fd-3m
Uncorrected energy ... -94.11 eV per cell

Geometry as POSCAR:
```
YCo2
1.0
4.3928 -0.0002 2.5364
1.4641 4.1408 2.5364
0.0000 0.0000 5.0728
Y Co
2 4
Cartesian
5.1247 3.6231 8.8773
0.7322 0.5175 1.2682
2.1964 -0.0001 3.8046
0.7320 2.0704 3.8046
2.9284 2.0703 5.0728
2.9284 2.0703 2.5364
```